The following is a PBE calculation of a relaxed GaN crystal, from the Materials Project database.

Unit cell a=12.3734 b=13.0780 c=15.2622 alpha=93.01 beta=90.50 gamma=93.89
Sites, in units of the cell vectors:
Ga: 0.0000 0.0000 0.0000
Ga: 0.0008 0.4728 0.8193
Ga: 0.0086 0.5500 0.6350
Ga: 0.0389 0.4442 0.0879
Ga: 0.0524 0.1888 0.9058
Ga: 0.1166 0.3913 0.9309
Ga: 0.1205 0.3003 0.7663
Ga: 0.1623 0.2667 0.0638
Ga: 0.1781 0.4497 0.6727
Ga: 0.1925 0.0502 0.9383
Ga: 0.2053 0.1468 0.4121
Ga: 0.2283 0.6862 0.3233
Ga: 0.2437 0.6694 0.6798
Ga: 0.2680 0.3384 0.5524
Ga: 0.2699 0.1552 0.7876
Ga: 0.3081 0.9496 0.6529
Ga: 0.3777 0.1371 0.5913
Ga: 0.3837 0.7698 0.2245
Ga: 0.3950 0.9500 0.4961
Ga: 0.3977 0.0903 0.9335
Ga: 0.4177 0.4840 0.7537
Ga: 0.4461 0.2868 0.7762
Ga: 0.4479 0.9894 0.7801
Ga: 0.4540 0.9581 0.3007
Ga: 0.4817 0.3737 0.6059
Ga: 0.4928 0.8562 0.0969
Ga: 0.5273 0.0550 0.1403
Ga: 0.5571 0.9544 0.9398
Ga: 0.5580 0.6230 0.8256
Ga: 0.5592 0.9668 0.6214
Ga: 0.5685 0.7465 0.9651
Ga: 0.5733 0.2430 0.0810
Ga: 0.5918 0.1882 0.9152
Ga: 0.6267 0.1937 0.6943
Ga: 0.6374 0.8168 0.8104
Ga: 0.6706 0.0102 0.7788
Ga: 0.7362 0.3597 0.8275
Ga: 0.7374 0.5690 0.7654
Ga: 0.7690 0.7024 0.9197
Ga: 0.7801 0.9349 0.6346
Ga: 0.7815 0.7071 0.5146
Ga: 0.7981 0.5054 0.9395
Ga: 0.8168 0.1285 0.6763
Ga: 0.8363 0.0600 0.9012
Ga: 0.8435 0.4280 0.6839
Ga: 0.9078 0.2537 0.7963
Ga: 0.9301 0.7250 0.6640
Ga: 0.9418 0.6563 0.8165
Ga: 0.9621 0.7989 0.9514
Ga: 0.9909 0.5983 0.9892
N: 0.0160 0.2861 0.4842
N: 0.0481 0.0320 0.6145
N: 0.0614 0.0294 0.5422
N: 0.0800 0.9242 0.3179
N: 0.1155 0.8752 0.3669
N: 0.1410 0.8021 0.1317
N: 0.2267 0.8041 0.1585
N: 0.2339 0.8186 0.8616
N: 0.2393 0.0506 0.1947
N: 0.2501 0.6210 0.9859
N: 0.2715 0.4522 0.3279
N: 0.2833 0.2038 0.5140
N: 0.2934 0.5432 0.7172
N: 0.3093 0.0077 0.2193
N: 0.3118 0.4660 0.2639
N: 0.3122 0.7907 0.8844
N: 0.3190 0.6218 0.0337
N: 0.3641 0.2490 0.2742
N: 0.3794 0.6421 0.4458
N: 0.4189 0.3715 0.0322
N: 0.4213 0.4348 0.9857
N: 0.4455 0.6622 0.3983
N: 0.4514 0.2338 0.2809
N: 0.4883 0.2351 0.6488
N: 0.5158 0.6764 0.6303
N: 0.5557 0.7272 0.5814
N: 0.5574 0.5523 0.1776
N: 0.5973 0.2250 0.4495
N: 0.6034 0.2694 0.8110
N: 0.6182 0.4816 0.4213
N: 0.6283 0.4485 0.3533
N: 0.6280 0.6014 0.1555
N: 0.6600 0.1676 0.4483
N: 0.6748 0.0627 0.9095
N: 0.6822 0.9063 0.3644
N: 0.6945 0.8500 0.1492
N: 0.7429 0.2423 0.2646
N: 0.7468 0.8509 0.3610
N: 0.7815 0.8624 0.1307
N: 0.8015 0.2931 0.0553
N: 0.8320 0.2610 0.2654
N: 0.8389 0.8083 0.6049
N: 0.8641 0.2378 0.0686
N: 0.8844 0.0631 0.4073
N: 0.8850 0.6577 0.2499
N: 0.8944 0.4638 0.3737
N: 0.9071 0.0703 0.3374
N: 0.9217 0.7373 0.2449
N: 0.9324 0.2772 0.5108
N: 0.9569 0.5172 0.4078

M_tot   0.000 μB/atom
DFT formation energy   0.068 eV per atom
Space group   No. 1
E (MP2020)   -561.4 eV/cell
Energy   -5.43 eV per atom

---

The following is a PBE calculation of a relaxed GaN crystal, from the Materials Project database.

Unit cell a=3.2163 b=3.2163 c=5.2400 alpha=90.00 beta=90.00 gamma=120.00
Sites, in units of the cell vectors:
Ga: 0.3333 0.6667 0.0000
Ga: 0.6667 0.3333 0.5000
N: 0.3333 0.6667 0.3768
N: 0.6667 0.3333 0.8768

DFT formation energy   -0.657 eV per atom
Space group   No. 186
E (MP2020)   -25.4 eV/cell
Energy   -6.16 eV per atom
Maximum piezoelectric response   0.62 C/m2

---

The following is a PBE calculation of a relaxed GaN crystal, from the Materials Project database.

Unit cell a=12.5666 b=12.9448 c=14.1456 alpha=89.88 beta=89.15 gamma=89.77
Sites, in units of the cell vectors:
Ga: 0.0000 0.0000 0.0000
Ga: 0.0049 0.6465 0.8855
Ga: 0.0097 0.2767 0.7225
Ga: 0.0115 0.2716 0.4199
Ga: 0.0351 0.5386 0.7367
Ga: 0.0377 0.0099 0.5188
Ga: 0.0469 0.2262 0.9501
Ga: 0.0620 0.8258 0.8218
Ga: 0.0873 0.8558 0.6365
Ga: 0.0969 0.8988 0.3479
Ga: 0.1214 0.0658 0.8129
Ga: 0.1324 0.2264 0.5867
Ga: 0.1395 0.0990 0.3458
Ga: 0.2080 0.3529 0.4210
Ga: 0.2131 0.4480 0.8403
Ga: 0.2157 0.0395 0.6541
Ga: 0.2340 0.7159 0.5708
Ga: 0.2354 0.8946 0.4800
Ga: 0.2460 0.7449 0.7644
Ga: 0.2519 0.2227 0.8575
Ga: 0.2913 0.4685 0.2205
Ga: 0.3247 0.2335 0.6641
Ga: 0.3460 0.4456 0.5652
Ga: 0.3542 0.8805 0.6375
Ga: 0.3868 0.4742 0.3921
Ga: 0.3893 0.3215 0.9512
Ga: 0.4032 0.6385 0.6873
Ga: 0.4129 0.3935 0.7731
Ga: 0.4303 0.0687 0.6117
Ga: 0.4419 0.4593 0.0754
Ga: 0.4569 0.1779 0.0725
Ga: 0.5232 0.3042 0.2050
Ga: 0.5286 0.6353 0.1485
Ga: 0.5344 0.4832 0.2707
Ga: 0.5836 0.9220 0.6355
Ga: 0.5922 0.7147 0.6199
Ga: 0.5963 0.3515 0.9835
Ga: 0.6057 0.1091 0.7213
Ga: 0.6227 0.0837 0.4909
Ga: 0.6584 0.2824 0.8025
Ga: 0.6735 0.5159 0.0824
Ga: 0.8068 0.3780 0.7006
Ga: 0.8115 0.3982 0.9772
Ga: 0.8227 0.1597 0.9635
Ga: 0.8396 0.0771 0.6303
Ga: 0.8849 0.2711 0.5622
Ga: 0.8975 0.0587 0.8061
Ga: 0.9519 0.9328 0.2053
Ga: 0.9873 0.1525 0.1235
Ga: 0.9883 0.4365 0.8989
N: 0.0042 0.1741 0.8206
N: 0.0159 0.9607 0.8686
N: 0.0385 0.6149 0.3141
N: 0.0433 0.4798 0.1379
N: 0.0582 0.5012 0.5052
N: 0.0903 0.1456 0.4742
N: 0.0947 0.5454 0.5654
N: 0.1216 0.3521 0.9095
N: 0.1249 0.6342 0.3113
N: 0.2142 0.9582 0.0523
N: 0.2308 0.7186 0.0229
N: 0.2606 0.3200 0.5537
N: 0.2723 0.9795 0.1078
N: 0.2747 0.2119 0.1873
N: 0.2837 0.6492 0.0223
N: 0.2947 0.7926 0.2304
N: 0.3011 0.2932 0.2068
N: 0.3773 0.7885 0.2583
N: 0.3786 0.1019 0.3656
N: 0.4174 0.4906 0.6724
N: 0.4363 0.6542 0.4303
N: 0.4442 0.9789 0.8949
N: 0.4455 0.0782 0.3172
N: 0.4690 0.8994 0.9160
N: 0.4862 0.7019 0.4796
N: 0.5258 0.3472 0.8559
N: 0.5608 0.3278 0.5363
N: 0.6223 0.6245 0.8931
N: 0.6247 0.3395 0.4816
N: 0.6404 0.5887 0.8229
N: 0.6453 0.7604 0.3077
N: 0.6481 0.9902 0.0686
N: 0.6607 0.9154 0.1062
N: 0.6895 0.0412 0.6157
N: 0.7078 0.8707 0.8194
N: 0.7273 0.2751 0.9348
N: 0.7267 0.7447 0.2787
N: 0.7451 0.3164 0.2414
N: 0.7602 0.8013 0.8119
N: 0.7696 0.8844 0.4553
N: 0.7822 0.3095 0.1691
N: 0.8118 0.5161 0.3333
N: 0.8129 0.4977 0.4102
N: 0.8266 0.0723 0.3254
N: 0.8323 0.1567 0.3423
N: 0.8507 0.8623 0.4290
N: 0.8632 0.6675 0.6005
N: 0.9007 0.6745 0.5288
N: 0.9488 0.4100 0.7588
N: 0.9844 0.4192 0.1587

M_tot   0.000 μB/atom
DFT formation energy   0.087 eV per atom
Space group   No. 1
E (MP2020)   -559.5 eV/cell
Energy   -5.41 eV per atom

---

The following is a PBE calculation of a relaxed GaN crystal, from the Materials Project database.

Unit cell a=12.0380 b=13.6911 c=13.8856 alpha=93.56 beta=91.34 gamma=96.39
Sites, in units of the cell vectors:
Ga: 0.0000 0.0000 0.0000
Ga: 0.0004 0.4088 0.5682
Ga: 0.0171 0.2213 0.4915
Ga: 0.0203 0.6824 0.4019
Ga: 0.0348 0.8848 0.1466
Ga: 0.0385 0.8131 0.8613
Ga: 0.1237 0.9576 0.5974
Ga: 0.1320 0.7794 0.6921
Ga: 0.1385 0.9965 0.7868
Ga: 0.1395 0.0805 0.1368
Ga: 0.1644 0.7417 0.2243
Ga: 0.1834 0.7918 0.5124
Ga: 0.1962 0.0882 0.4729
Ga: 0.2231 0.1887 0.3156
Ga: 0.2572 0.9403 0.2303
Ga: 0.2709 0.7759 0.0337
Ga: 0.2807 0.0521 0.9385
Ga: 0.2914 0.8304 0.8516
Ga: 0.3127 0.7947 0.3609
Ga: 0.3590 0.1187 0.1890
Ga: 0.3739 0.0133 0.3878
Ga: 0.4137 0.9496 0.0836
Ga: 0.4653 0.1618 0.0309
Ga: 0.4707 0.7740 0.1599
Ga: 0.4844 0.1789 0.3441
Ga: 0.5400 0.8188 0.5231
Ga: 0.5425 0.8951 0.3486
Ga: 0.5476 0.2981 0.1760
Ga: 0.5492 0.6894 0.3755
Ga: 0.5877 0.4583 0.2923
Ga: 0.5892 0.3337 0.4262
Ga: 0.6082 0.0151 0.0211
Ga: 0.6395 0.1093 0.1899
Ga: 0.6710 0.8848 0.1916
Ga: 0.6886 0.6570 0.1708
Ga: 0.7330 0.9243 0.5561
Ga: 0.7551 0.6185 0.4021
Ga: 0.7561 0.2715 0.5438
Ga: 0.7853 0.2827 0.3423
Ga: 0.8070 0.0054 0.0767
Ga: 0.8186 0.5796 0.0440
Ga: 0.8221 0.4593 0.4503
Ga: 0.8475 0.1054 0.5637
Ga: 0.8530 0.4992 0.6969
Ga: 0.8623 0.7990 0.2487
Ga: 0.8747 0.7921 0.5135
Ga: 0.9417 0.6051 0.1937
Ga: 0.9713 0.2032 0.3092
Ga: 0.9838 0.7229 0.0141
Ga: 0.9984 0.6330 0.5822
N: 0.0245 0.9510 0.8735
N: 0.0487 0.9883 0.3755
N: 0.0647 0.6449 0.2766
N: 0.0867 0.1685 0.2342
N: 0.1066 0.5664 0.8527
N: 0.1136 0.4671 0.1396
N: 0.1215 0.7657 0.0925
N: 0.1392 0.2019 0.7485
N: 0.1450 0.5626 0.7806
N: 0.1596 0.2458 0.6851
N: 0.1618 0.2718 0.0355
N: 0.1749 0.4428 0.3923
N: 0.1877 0.4605 0.1868
N: 0.2237 0.5064 0.4334
N: 0.2521 0.2970 0.0506
N: 0.2902 0.3839 0.8624
N: 0.3134 0.9185 0.9680
N: 0.3277 0.4015 0.7927
N: 0.3309 0.5438 0.0209
N: 0.3569 0.2967 0.5409
N: 0.3698 0.2398 0.5925
N: 0.3921 0.6219 0.7910
N: 0.4074 0.5279 0.0605
N: 0.4169 0.6220 0.7145
N: 0.4449 0.7535 0.2977
N: 0.4710 0.0282 0.7030
N: 0.5054 0.0589 0.6364
N: 0.5350 0.4385 0.6319
N: 0.5516 0.4026 0.6995
N: 0.5975 0.3567 0.9175
N: 0.5968 0.6999 0.9240
N: 0.6063 0.6199 0.9181
N: 0.6345 0.5978 0.2905
N: 0.6429 0.2279 0.2739
N: 0.6648 0.6216 0.6958
N: 0.6662 0.6632 0.6292
N: 0.6839 0.3509 0.8934
N: 0.7169 0.0337 0.8132
N: 0.7584 0.0283 0.3382
N: 0.7805 0.0698 0.4109
N: 0.7855 0.0900 0.7948
N: 0.7961 0.7991 0.8126
N: 0.7989 0.8380 0.7447
N: 0.8218 0.4051 0.5812
N: 0.8295 0.2876 0.0844
N: 0.8673 0.7286 0.3754
N: 0.8893 0.3268 0.1400
N: 0.9665 0.9408 0.3788
N: 0.9672 0.3307 0.9143
N: 0.9970 0.3442 0.8410

M_tot   0.000 μB/atom
DFT formation energy   0.058 eV per atom
Space group   No. 1
E (MP2020)   -562.4 eV/cell
Energy   -5.44 eV per atom

---

The following is a PBE calculation of a relaxed GaN crystal, from the Materials Project database.

Unit cell a=11.3412 b=11.8088 c=11.8621 alpha=88.56 beta=86.23 gamma=88.40
Sites, in units of the cell vectors:
Ga: 0.0000 0.0000 0.0000
Ga: 0.9998 0.1214 0.7570
Ga: 0.0761 0.8614 0.2608
Ga: 0.0886 0.6031 0.8069
Ga: 0.1196 0.3908 0.2271
Ga: 0.1602 0.1864 0.1292
Ga: 0.2148 0.9630 0.4595
Ga: 0.2156 0.0687 0.6317
Ga: 0.2158 0.3426 0.7618
Ga: 0.2171 0.9669 0.1107
Ga: 0.2269 0.8497 0.8471
Ga: 0.2426 0.7423 0.3489
Ga: 0.2603 0.1066 0.8592
Ga: 0.2782 0.6991 0.6134
Ga: 0.3339 0.5534 0.3192
Ga: 0.3525 0.4180 0.0835
Ga: 0.3623 0.2802 0.9279
Ga: 0.4030 0.4594 0.5958
Ga: 0.4142 0.8299 0.1453
Ga: 0.4435 0.2119 0.6746
Ga: 0.4585 0.4796 0.8131
Ga: 0.4694 0.9380 0.6868
Ga: 0.4808 0.8189 0.4517
Ga: 0.4940 0.0799 0.4316
Ga: 0.4994 0.5692 0.0052
Ga: 0.5341 0.6743 0.6939
Ga: 0.5358 0.3959 0.2357
Ga: 0.5478 0.2986 0.4401
Ga: 0.5893 0.6764 0.2261
Ga: 0.5897 0.2627 0.8290
Ga: 0.6031 0.5684 0.4302
Ga: 0.6185 0.9536 0.2701
Ga: 0.6495 0.3927 0.9940
Ga: 0.6629 0.4337 0.6727
Ga: 0.6772 0.7521 0.9745
Ga: 0.7066 0.8901 0.7672
Ga: 0.7190 0.9602 0.5486
Ga: 0.7421 0.0726 0.8730
Ga: 0.7455 0.7165 0.5785
Ga: 0.7635 0.9310 0.0631
Ga: 0.7934 0.6497 0.8121
Ga: 0.7947 0.7964 0.3234
Ga: 0.8649 0.3989 0.8032
Ga: 0.8966 0.7413 0.0707
Ga: 0.8977 0.5952 0.2586
Ga: 0.8986 0.2270 0.0149
Ga: 0.9007 0.5183 0.0140
Ga: 0.9494 0.9984 0.5106
Ga: 0.9746 0.1555 0.2948
Ga: 0.9927 0.8377 0.7176
N: 0.0329 0.9877 0.6607
N: 0.0572 0.7042 0.4817
N: 0.0604 0.7785 0.8651
N: 0.0664 0.9691 0.3865
N: 0.0786 0.4366 0.0305
N: 0.0851 0.4421 0.5923
N: 0.1264 0.4696 0.5082
N: 0.1392 0.6705 0.0748
N: 0.1523 0.1855 0.7385
N: 0.1589 0.4620 0.9695
N: 0.1793 0.9837 0.9444
N: 0.1966 0.2383 0.4398
N: 0.2359 0.6667 0.0881
N: 0.2797 0.4397 0.2276
N: 0.2836 0.2813 0.4360
N: 0.3048 0.8195 0.4771
N: 0.3601 0.0583 0.7189
N: 0.4163 0.1084 0.2066
N: 0.4176 0.2009 0.1814
N: 0.4914 0.0258 0.9452
N: 0.5060 0.5492 0.3004
N: 0.5111 0.9729 0.0230
N: 0.5135 0.8214 0.2833
N: 0.5367 0.7102 0.0740
N: 0.5385 0.9555 0.5307
N: 0.5518 0.8217 0.7619
N: 0.5696 0.6982 0.5255
N: 0.5821 0.4322 0.5279
N: 0.6564 0.1710 0.1689
N: 0.6986 0.5945 0.6917
N: 0.7129 0.2048 0.4423
N: 0.7293 0.1609 0.0993
N: 0.7332 0.6404 0.3085
N: 0.7410 0.3813 0.2686
N: 0.7613 0.1281 0.3999
N: 0.7630 0.1631 0.6714
N: 0.8033 0.8331 0.4752
N: 0.8254 0.3372 0.2351
N: 0.8260 0.3718 0.9815
N: 0.8351 0.7815 0.7149
N: 0.8483 0.4226 0.5134
N: 0.8625 0.1754 0.6498
N: 0.8952 0.3460 0.4778
N: 0.9086 0.1108 0.8956
N: 0.9264 0.5495 0.8473
N: 0.9393 0.7644 0.2307
N: 0.9744 0.6554 0.4732
N: 0.9802 0.8187 0.9412
N: 0.9912 0.4728 0.2771
N: 0.9954 0.1371 0.1087

M_tot   0.000 μB/atom
DFT formation energy   0.048 eV per atom
Space group   No. 1
E (MP2020)   -563.5 eV/cell
Energy   -5.45 eV per atom

---

- The lowest energy belongs to which entry?
  number 2

---

- The highest E (MP2020) belongs to which entry?
  number 2